A relaxed InGe3 crystal. Source: Materials Project, functional PBE-GGA.

Unit cell a=4.2680 b=4.2680 c=9.6275 alpha=90.00 beta=90.00 gamma=90.00
Fractional positions:
In: 0.0000 0.0000 0.0000
In: 0.5000 0.5000 0.5000
Ge: 0.0000 0.0000 0.5000
Ge: 0.0000 0.5000 0.2500
Ge: 0.0000 0.5000 0.7500
Ge: 0.5000 0.0000 0.2500
Ge: 0.5000 0.0000 0.7500
Ge: 0.5000 0.5000 0.0000

Summary:
* uncorrected energy: -3.877 eV/atom
* space group: I4/mmm (139)
* formation enthalpy at 0 K: 0.278 eV/atom
* spin magnetization: 0.00 μB per atom

***

A relaxed Ho3Ni7B2 crystal. Source: Materials Project, functional PBE-GGA.

Unit cell a=5.0217 b=5.0217 c=14.2072 alpha=90.00 beta=90.00 gamma=120.08
Fractional positions:
Ho: 0.1666 0.8334 0.5315
Ho: 0.1667 0.8333 0.7500
Ho: 0.1666 0.8334 0.9685
Ho: 0.8334 0.1666 0.0315
Ho: 0.8333 0.1667 0.2500
Ho: 0.8334 0.1666 0.4685
Ni: 0.1685 0.3343 0.6489
Ni: 0.1685 0.3343 0.8511
Ni: 0.3343 0.1685 0.1489
Ni: 0.3343 0.1685 0.3511
Ni: 0.3342 0.6658 0.1488
Ni: 0.3342 0.6658 0.3512
Ni: 0.5000 0.5000 0.0000
Ni: 0.5000 0.5000 0.5000
Ni: 0.6658 0.3342 0.6488
Ni: 0.6658 0.3342 0.8512
Ni: 0.6657 0.8315 0.6489
Ni: 0.6657 0.8315 0.8511
Ni: 0.8315 0.6657 0.1489
Ni: 0.8315 0.6657 0.3511
B: 0.1664 0.8336 0.2500
B: 0.5002 0.4998 0.2500
B: 0.4998 0.5002 0.7500
B: 0.8336 0.1664 0.7500

Summary:
* uncorrected energy: -6.146 eV/atom
* space group: Cmcm (63)
* formation enthalpy at 0 K: -0.516 eV/atom